# 1
VASP calculation (PBE) on a relaxed structure of Ti.

abc: 11.627 12.218 12.310
angles: 93.29 90.68 92.23
Space group P1 (No. 1)
Symmetry-distinct sites (fractional):
Ti (0.000, 0.000, 0.000) (multiplicity 1)
Ti (0.000, 0.848, 0.190) (multiplicity 1)
Ti (0.006, 0.620, 0.118) (multiplicity 1)
Ti (0.014, 0.605, 0.832) (multiplicity 1)
Ti (0.022, 0.793, 0.729) (multiplicity 1)
Ti (0.024, 0.425, 0.001) (multiplicity 1)
Ti (0.027, 0.355, 0.223) (multiplicity 1)
Ti (0.047, 0.852, 0.512) (multiplicity 1)
Ti (0.057, 0.671, 0.343) (multiplicity 1)
Ti (0.058, 0.210, 0.400) (multiplicity 1)
Ti (0.078, 0.106, 0.189) (multiplicity 1)
Ti (0.101, 0.211, 0.810) (multiplicity 1)
Ti (0.103, 0.998, 0.741) (multiplicity 1)
Ti (0.104, 0.440, 0.434) (multiplicity 1)
Ti (0.129, 0.964, 0.346) (multiplicity 1)
Ti (0.130, 0.289, 0.609) (multiplicity 1)
Ti (0.135, 0.830, 0.952) (multiplicity 1)
Ti (0.154, 0.658, 0.557) (multiplicity 1)
Ti (0.179, 0.487, 0.746) (multiplicity 1)
Ti (0.181, 0.250, 0.078) (multiplicity 1)
Ti (0.189, 0.608, 0.970) (multiplicity 1)
Ti (0.199, 0.485, 0.148) (multiplicity 1)
Ti (0.212, 0.076, 0.942) (multiplicity 1)
Ti (0.213, 0.086, 0.535) (multiplicity 1)
Ti (0.221, 0.743, 0.168) (multiplicity 1)
Ti (0.237, 0.963, 0.124) (multiplicity 1)
Ti (0.240, 0.317, 0.288) (multiplicity 1)
Ti (0.253, 0.366, 0.907) (multiplicity 1)
Ti (0.255, 0.713, 0.771) (multiplicity 1)
Ti (0.263, 0.888, 0.613) (multiplicity 1)
Ti (0.264, 0.791, 0.392) (multiplicity 1)
Ti (0.275, 0.566, 0.358) (multiplicity 1)
Ti (0.295, 0.098, 0.320) (multiplicity 1)
Ti (0.304, 0.485, 0.557) (multiplicity 1)
Ti (0.312, 0.104, 0.736) (multiplicity 1)
Ti (0.321, 0.923, 0.835) (multiplicity 1)
Ti (0.335, 0.279, 0.483) (multiplicity 1)
Ti (0.352, 0.319, 0.707) (multiplicity 1)
Ti (0.365, 0.807, 0.009) (multiplicity 1)
Ti (0.394, 0.369, 0.072) (multiplicity 1)
Ti (0.398, 0.156, 0.155) (multiplicity 1)
Ti (0.399, 0.711, 0.571) (multiplicity 1)
Ti (0.401, 0.595, 0.182) (multiplicity 1)
Ti (0.412, 0.566, 0.960) (multiplicity 1)
Ti (0.422, 0.546, 0.740) (multiplicity 1)
Ti (0.426, 0.184, 0.931) (multiplicity 1)
Ti (0.428, 0.953, 0.442) (multiplicity 1)
Ti (0.430, 0.916, 0.223) (multiplicity 1)
Ti (0.456, 0.398, 0.290) (multiplicity 1)
Ti (0.484, 0.129, 0.587) (multiplicity 1)
Ti (0.487, 0.747, 0.337) (multiplicity 1)
Ti (0.488, 0.771, 0.822) (multiplicity 1)
Ti (0.509, 0.562, 0.451) (multiplicity 1)
Ti (0.515, 0.902, 0.632) (multiplicity 1)
Ti (0.520, 0.183, 0.376) (multiplicity 1)
Ti (0.524, 0.993, 0.039) (multiplicity 1)
Ti (0.527, 0.384, 0.595) (multiplicity 1)
Ti (0.534, 0.398, 0.877) (multiplicity 1)
Ti (0.544, 0.010, 0.815) (multiplicity 1)
Ti (0.561, 0.720, 0.096) (multiplicity 1)
Ti (0.597, 0.481, 0.084) (multiplicity 1)
Ti (0.602, 0.235, 0.761) (multiplicity 1)
Ti (0.605, 0.244, 0.087) (multiplicity 1)
Ti (0.619, 0.631, 0.650) (multiplicity 1)
Ti (0.628, 0.614, 0.880) (multiplicity 1)
Ti (0.629, 0.584, 0.266) (multiplicity 1)
Ti (0.634, 0.078, 0.230) (multiplicity 1)
Ti (0.659, 0.767, 0.483) (multiplicity 1)
Ti (0.659, 0.997, 0.439) (multiplicity 1)
Ti (0.669, 0.862, 0.247) (multiplicity 1)
Ti (0.673, 0.355, 0.301) (multiplicity 1)
Ti (0.683, 0.256, 0.547) (multiplicity 1)
Ti (0.690, 0.837, 0.753) (multiplicity 1)
Ti (0.693, 0.846, 0.966) (multiplicity 1)
Ti (0.707, 0.058, 0.654) (multiplicity 1)
Ti (0.720, 0.102, 0.937) (multiplicity 1)
Ti (0.723, 0.489, 0.504) (multiplicity 1)
Ti (0.739, 0.439, 0.729) (multiplicity 1)
Ti (0.760, 0.343, 0.939) (multiplicity 1)
Ti (0.794, 0.187, 0.392) (multiplicity 1)
Ti (0.796, 0.710, 0.146) (multiplicity 1)
Ti (0.806, 0.989, 0.111) (multiplicity 1)
Ti (0.820, 0.559, 0.973) (multiplicity 1)
Ti (0.820, 0.642, 0.351) (multiplicity 1)
Ti (0.822, 0.663, 0.764) (multiplicity 1)
Ti (0.826, 0.457, 0.156) (multiplicity 1)
Ti (0.835, 0.221, 0.174) (multiplicity 1)
Ti (0.835, 0.885, 0.605) (multiplicity 1)
Ti (0.854, 0.861, 0.387) (multiplicity 1)
Ti (0.861, 0.187, 0.767) (multiplicity 1)
Ti (0.871, 0.967, 0.819) (multiplicity 1)
Ti (0.887, 0.427, 0.394) (multiplicity 1)
Ti (0.889, 0.679, 0.548) (multiplicity 1)
Ti (0.905, 0.302, 0.578) (multiplicity 1)
Ti (0.909, 0.042, 0.306) (multiplicity 1)
Ti (0.914, 0.775, 0.958) (multiplicity 1)
Ti (0.944, 0.212, 0.980) (multiplicity 1)
Ti (0.950, 0.075, 0.553) (multiplicity 1)
Ti (0.959, 0.387, 0.796) (multiplicity 1)
Ti (0.974, 0.505, 0.617) (multiplicity 1)

DFT formation energy ... 0.141 eV per atom
ρ ... 4.6 g cm⁻³

# 2
VASP calculation (PBE) on a relaxed structure of Ti.

abc: 4.109 4.109 4.109
angles: 90.00 90.00 90.00
Space group Fm-3m (No. 225)
Symmetry-distinct sites (fractional):
Ti (0.000, 0.000, 0.000) (multiplicity 4)

DFT formation energy ... 0.062 eV per atom
ρ ... 4.6 g cm⁻³

# 3
VASP calculation (PBE) on a relaxed structure of Ti.

abc: 4.5769 4.5769 2.8287
angles: 90.00 90.00 120.00
Space group P6/mmm (No. 191)
Symmetry-distinct sites (fractional):
Ti (0.0000, 0.0000, 0.0000) (multiplicity 1)
Ti (0.3333, 0.6667, 0.5000) (multiplicity 2)

DFT formation energy ... 0.000 eV per atom
ρ ... 4.6 g cm⁻³